1.
First-principles (PBE) data for crystalline CeY2Al3Pd3 at its relaxed geometry, as listed in the Materials Project database.

Values from the calculation:
As for the density: 6.55 g/cm³. For the total energy, the calculation gives -5.913 eV per atom. The calculation puts the spin magnetization at 0.15 μB/f.u.

a = 4.031 Å, b = 12.401 Å, c = 7.289 Å
α = 90.00°, β = 90.00°, γ = 90.00°
Space group Amm2 (No. 38)
Unique sites:
1 Ce 0.000 0.000 0.000 [2 per cell]
2 Y 0.000 0.208 0.627 [4 per cell]
3 Al 0.500 0.000 0.654 [2 per cell]
4 Al 0.500 0.120 0.301 [4 per cell]
5 Pd 0.000 0.000 0.419 [2 per cell]
6 Pd 0.500 0.165 0.920 [4 per cell]

2.
First-principles (PBE) data for crystalline Ce2YAl3Pd3 at its relaxed geometry, as listed in the Materials Project database.

Values from the calculation:
As for the density: 6.89 g/cm³. For the total energy, the calculation gives -5.824 eV per atom. The calculation puts the spin magnetization at 0.01 μB/f.u.

a = 4.157 Å, b = 12.508 Å, c = 7.133 Å
α = 90.00°, β = 90.00°, γ = 90.00°
Space group Amm2 (No. 38)
Unique sites:
1 Ce 0.000 0.211 0.000 [4 per cell]
2 Y 0.000 0.000 0.370 [2 per cell]
3 Al 0.500 0.000 0.022 [2 per cell]
4 Al 0.500 0.115 0.672 [4 per cell]
5 Pd 0.000 0.000 0.788 [2 per cell]
6 Pd 0.500 0.168 0.288 [4 per cell]

3.
First-principles (PBE) data for crystalline CePrAl4 at its relaxed geometry, as listed in the Materials Project database.

Values from the calculation:
As for the density: 5.04 g/cm³. For the total energy, the calculation gives -4.739 eV per atom. The calculation puts the spin magnetization at 0.54 μB/f.u.

a = 8.005 Å, b = 8.005 Å, c = 8.005 Å
α = 90.00°, β = 90.00°, γ = 90.00°
Space group F-43m (No. 216)
Unique sites:
1 Ce 0.000 0.000 0.000 [4 per cell]
2 Pr 0.250 0.250 0.250 [4 per cell]
3 Al 0.125 0.125 0.625 [16 per cell]